SrIrO3, relaxed, DFT r²SCAN; electronic total energy = -18.88 eV/atom
1.0
2.793 -4.810 0.000
2.793 4.810 0.000
-0.731 0.000 14.302
Sr Ir O
6 6 18
Direct
0.000 0.000 0.000
0.315 0.656 0.648
0.344 0.685 0.352
0.645 0.326 0.147
0.674 0.355 0.853
0.990 0.010 0.500
0.308 0.650 0.097
0.350 0.692 0.903
0.639 0.318 0.597
0.682 0.361 0.403
0.994 0.005 0.250
0.995 0.006 0.750
0.026 0.510 0.986
0.069 0.788 0.153
0.072 0.275 0.150
0.202 0.408 0.793
0.212 0.931 0.847
0.264 0.086 0.649
0.398 0.212 0.292
0.488 0.512 0.000
0.490 0.974 0.014
0.499 0.038 0.485
0.502 0.498 0.500
0.592 0.798 0.207
0.725 0.928 0.850
0.777 0.078 0.652
0.788 0.602 0.708
0.914 0.736 0.351
0.922 0.223 0.348
0.962 0.501 0.515

Hg3AsO5, relaxed, DFT r²SCAN; electronic total energy = -22.19 eV/atom
1.0
7.024 0.000 0.000
0.000 9.126 0.000
-5.653 0.000 8.971
Hg As O
12 4 20
Direct
0.042 0.131 0.054
0.042 0.369 0.554
0.228 0.007 0.485
0.228 0.493 0.985
0.340 0.137 0.846
0.340 0.363 0.346
0.660 0.637 0.654
0.660 0.863 0.154
0.772 0.507 0.015
0.772 0.993 0.515
0.958 0.631 0.446
0.958 0.869 0.946
0.301 0.740 0.289
0.301 0.760 0.789
0.699 0.240 0.211
0.699 0.260 0.711
0.045 0.678 0.244
0.045 0.822 0.744
0.140 0.137 0.615
0.140 0.363 0.115
0.334 0.730 0.142
0.334 0.770 0.642
0.350 0.583 0.855
0.350 0.917 0.355
0.486 0.129 0.077
0.486 0.371 0.577
0.514 0.629 0.423
0.514 0.871 0.923
0.650 0.083 0.645
0.650 0.417 0.145
0.666 0.230 0.358
0.666 0.270 0.858
0.860 0.637 0.885
0.860 0.863 0.385
0.955 0.178 0.256
0.955 0.322 0.756

CrSb2, relaxed, DFT r²SCAN; electronic total energy = -22.21 eV/atom
1.0
6.031 0.000 0.000
0.000 6.931 0.000
0.000 0.000 3.437
Cr Sb
2 4
Direct
0.000 0.000 0.000
0.500 0.500 0.500
0.177 0.364 0.000
0.323 0.864 0.500
0.677 0.136 0.500
0.823 0.636 0.000

Tb6CoTe2, relaxed, DFT r²SCAN; electronic total energy = -28.67 eV/atom
1.0
8.369 0.000 0.000
-4.185 7.248 0.000
0.000 0.000 3.960
Tb Co Te
6 1 2
Direct
0.000 0.402 0.000
0.000 0.766 0.500
0.234 0.234 0.500
0.402 0.000 0.000
0.598 0.598 0.000
0.766 0.000 0.500
0.000 0.000 0.000
0.333 0.667 0.500
0.667 0.333 0.500

VSn2, relaxed, DFT r²SCAN; electronic total energy = -21.21 eV/atom
1.0
0.000 4.707 9.324
2.756 0.000 9.324
2.756 4.707 0.000
V Sn
4 8
Direct
0.003 0.003 0.747
0.253 0.253 0.997
0.747 0.747 0.003
0.997 0.997 0.253
0.041 0.709 0.041
0.291 0.291 0.459
0.291 0.959 0.291
0.459 0.459 0.291
0.541 0.541 0.709
0.709 0.041 0.709
0.709 0.709 0.541
0.959 0.291 0.959

SrGa2S4, relaxed, DFT r²SCAN; electronic total energy = -11.37 eV/atom
1.0
3.010 -5.252 0.000
3.010 5.252 0.000
0.000 0.000 10.567
Sr Ga S
2 4 8
Direct
0.000 0.000 0.250
0.000 0.000 0.750
0.261 0.736 0.000
0.264 0.739 0.500
0.736 0.261 0.500
0.739 0.264 0.000
0.000 0.500 0.164
0.000 0.500 0.836
0.145 0.319 0.500
0.319 0.145 0.000
0.500 0.000 0.336
0.500 0.000 0.664
0.681 0.855 0.000
0.855 0.681 0.500

La5Si3N9, relaxed, DFT r²SCAN; electronic total energy = -16.76 eV/atom
1.0
5.336 -5.714 0.000
5.336 5.714 0.000
0.000 0.000 16.020
La Si N
20 12 36
Direct
0.003 0.997 0.886
0.018 0.982 0.338
0.033 0.545 0.131
0.045 0.533 0.631
0.207 0.207 0.500
0.293 0.293 0.000
0.455 0.967 0.131
0.467 0.955 0.631
0.482 0.518 0.838
0.497 0.503 0.386
0.503 0.497 0.614
0.518 0.482 0.162
0.533 0.045 0.369
0.545 0.033 0.869
0.707 0.707 0.000
0.793 0.793 0.500
0.955 0.467 0.369
0.967 0.455 0.869
0.982 0.018 0.662
0.997 0.003 0.114
0.215 0.285 0.250
0.222 0.778 0.774
0.238 0.762 0.982
0.262 0.738 0.482
0.278 0.722 0.274
0.285 0.215 0.750
0.715 0.785 0.250
0.722 0.278 0.726
0.738 0.262 0.518
0.762 0.238 0.018
0.778 0.222 0.226
0.785 0.715 0.750
0.005 0.745 0.758
0.016 0.722 0.000
0.136 0.864 0.544
0.163 0.837 0.206
0.202 0.274 0.655
0.222 0.516 0.500
0.226 0.298 0.845
0.230 0.770 0.376
0.245 0.505 0.258
0.255 0.995 0.758
0.270 0.730 0.876
0.274 0.202 0.345
0.278 0.984 0.000
0.298 0.226 0.155
0.337 0.663 0.706
0.364 0.636 0.044
0.484 0.778 0.500
0.495 0.755 0.258
0.505 0.245 0.742
0.516 0.222 0.500
0.636 0.364 0.956
0.663 0.337 0.294
0.702 0.774 0.845
0.722 0.016 0.000
0.726 0.798 0.655
0.730 0.270 0.124
0.745 0.005 0.242
0.755 0.495 0.742
0.770 0.230 0.624
0.774 0.702 0.155
0.778 0.484 0.500
0.798 0.726 0.345
0.837 0.163 0.794
0.864 0.136 0.456
0.984 0.278 0.000
0.995 0.255 0.242

Er2Co3Cu, relaxed, DFT r²SCAN; electronic total energy = -19.94 eV/atom
1.0
2.473 1.428 4.368
-2.473 1.428 4.368
0.000 -2.855 4.368
Er Co Cu
2 3 1
Direct
0.117 0.117 0.117
0.883 0.883 0.883
0.000 0.500 0.500
0.500 0.000 0.500
0.500 0.500 0.000
0.500 0.500 0.500

Tb6InCo2, relaxed, DFT r²SCAN; electronic total energy = -26.51 eV/atom
1.0
-4.681 4.878 4.968
4.681 -4.878 4.968
4.681 4.878 -4.968
Tb In Co
12 2 4
Direct
0.030 0.235 0.795
0.183 0.286 0.469
0.183 0.714 0.897
0.325 0.012 0.687
0.325 0.639 0.313
0.440 0.235 0.205
0.560 0.765 0.795
0.675 0.361 0.687
0.675 0.988 0.313
0.817 0.286 0.103
0.817 0.714 0.531
0.970 0.765 0.205
0.000 0.000 0.000
0.500 0.500 0.000
0.112 0.612 0.500
0.340 0.000 0.340
0.660 0.000 0.660
0.888 0.388 0.500

CsYbBr3, relaxed, DFT r²SCAN; electronic total energy = -22.09 eV/atom
1.0
5.522 0.000 0.000
0.000 5.522 0.000
0.000 0.000 5.522
Cs Yb Br
1 1 3
Direct
0.000 0.000 0.000
0.500 0.500 0.500
0.000 0.500 0.500
0.500 0.000 0.500
0.500 0.500 0.000

CeSiBO5, relaxed, DFT r²SCAN; electronic total energy = -12.84 eV/atom
1.0
6.852 0.000 0.000
-3.426 5.934 0.000
0.000 0.000 6.692
Ce Si B O
3 3 3 15
Direct
0.000 0.588 0.000
0.412 0.412 0.333
0.588 0.000 0.667
0.002 0.585 0.501
0.415 0.417 0.835
0.583 0.998 0.168
0.115 0.015 0.639
0.899 0.885 0.306
0.985 0.101 0.972
0.061 0.054 0.439
0.140 0.808 0.648
0.149 0.544 0.337
0.192 0.331 0.981
0.349 0.196 0.691
0.395 0.851 0.004
0.456 0.605 0.670
0.527 0.137 0.329
0.609 0.473 0.995
0.669 0.860 0.314
0.804 0.154 0.024
0.846 0.651 0.358
0.863 0.391 0.662
0.946 0.007 0.773
0.993 0.939 0.106

NaAlB14, relaxed, DFT r²SCAN; electronic total energy = -7.25 eV/atom
1.0
-2.916 5.209 4.105
2.916 -5.209 4.105
2.916 5.209 -4.105
Na Al B
2 2 28
Direct
0.403 0.153 0.250
0.597 0.847 0.750
0.000 0.000 0.500
0.000 0.500 0.000
0.023 0.875 0.148
0.035 0.206 0.330
0.035 0.706 0.829
0.082 0.667 0.414
0.199 0.532 0.666
0.223 0.503 0.400
0.223 0.823 0.720
0.227 0.875 0.352
0.247 0.333 0.914
0.366 0.532 0.834
0.376 0.206 0.671
0.376 0.706 0.170
0.397 0.177 0.900
0.397 0.497 0.220
0.603 0.503 0.780
0.603 0.823 0.100
0.624 0.294 0.830
0.624 0.794 0.329
0.634 0.468 0.166
0.753 0.667 0.086
0.773 0.125 0.648
0.777 0.177 0.280
0.777 0.497 0.600
0.801 0.468 0.334
0.918 0.333 0.586
0.965 0.294 0.171
0.965 0.794 0.670
0.977 0.125 0.852

YbIn, relaxed, DFT r²SCAN; electronic total energy = -30.08 eV/atom
1.0
3.688 0.000 0.000
0.000 3.688 0.000
0.000 0.000 3.688
Yb In
1 1
Direct
0.000 0.000 0.000
0.500 0.500 0.500

BaY2S4, relaxed, DFT r²SCAN; electronic total energy = -16.63 eV/atom
1.0
12.302 0.000 0.000
0.000 4.052 0.000
0.000 0.000 14.563
Ba Y S
4 8 16
Direct
0.242 0.250 0.162
0.258 0.750 0.662
0.742 0.250 0.338
0.758 0.750 0.838
0.067 0.250 0.391
0.079 0.250 0.898
0.421 0.750 0.398
0.433 0.750 0.891
0.567 0.250 0.109
0.579 0.250 0.602
0.921 0.750 0.102
0.933 0.750 0.609
0.022 0.750 0.783
0.081 0.250 0.577
0.124 0.750 0.023
0.207 0.750 0.337
0.293 0.250 0.837
0.376 0.250 0.523
0.419 0.750 0.077
0.478 0.250 0.283
0.522 0.750 0.717
0.581 0.250 0.923
0.624 0.750 0.477
0.707 0.750 0.163
0.793 0.250 0.663
0.876 0.250 0.977
0.919 0.750 0.423
0.978 0.250 0.217